# 1
Computed, not measured: Li3Mn5OF11 after structural relaxation at the PBE with a Hubbard U level of DFT.

Geometry as extended XYZ:
```
20
Lattice="5.413 0.032 -0.028 -2.724 1.557 4.823 2.633 -7.840 4.794" Properties=species:S:1:pos:R:3 pbc="T T T"
Li -0.046 -3.186 6.859
Li 5.369 -3.255 2.723
Li 5.365 -6.257 7.406
Mn -0.138 0.023 2.066
Mn 0.031 0.061 5.256
Mn 2.650 -4.655 5.028
Mn 2.672 -1.572 4.488
Mn 5.437 -6.298 4.533
O 3.472 0.223 1.176
F 0.775 -4.747 5.976
F 0.767 -1.747 1.188
F 1.062 -1.622 6.023
F 1.566 -0.011 3.559
F 1.830 -3.256 3.552
F 1.708 -6.428 8.437
F 3.509 -2.961 5.969
F 3.663 -6.184 6.058
F 4.345 -4.699 3.624
F 4.610 -1.436 3.639
F 4.581 -4.501 8.342
```

Distance to the lowest polymorph of the same formula, meV/atom: 8
Final energy, eV/atom: -6.037
Size of the total moment, μB/cell: 25.0
Theoretical density, g cm⁻³: 3.52
Space-group type: No. 1
Total energy after the MP2020 corrections, eV per atom: -6.74
ΔE_f, meV per atom: -2865

# 2
Computed, not measured: Co5P6O22 after structural relaxation at the PBE with a Hubbard U level of DFT.

Geometry as extended XYZ:
```
66
Lattice="12.244 0.000 -3.139 0.000 6.652 0.000 -0.048 0.000 10.397" Properties=species:S:1:pos:R:3 pbc="T T T"
O 10.424 3.628 -0.901
O 12.208 1.351 -1.666
O -0.009 1.928 3.770
O 12.184 1.975 3.533
O -0.033 1.398 8.969
O 10.262 6.096 -0.254
O 10.257 3.508 1.989
O 8.912 1.316 -1.685
O 10.400 6.351 4.297
O 10.238 3.882 4.944
O -0.012 5.301 8.924
O 12.205 4.724 3.488
O 0.012 4.677 3.726
O 12.228 5.254 -1.710
O 1.772 3.024 8.160
O 1.934 0.556 7.513
O 1.939 3.144 5.269
O 3.284 5.336 8.943
O 1.796 0.302 2.961
O 1.958 2.770 2.314
O 2.961 5.224 6.246
O 1.963 0.182 0.071
O 3.308 4.643 3.745
O 4.586 1.268 8.620
O 2.985 4.754 1.047
O 4.491 0.844 5.635
O 4.454 3.364 5.587
O 9.235 1.428 1.013
O 4.610 2.058 3.421
O 4.515 2.482 0.437
O 4.478 6.614 0.388
O 5.616 4.504 2.191
O 6.580 2.149 5.068
O 7.718 0.038 6.870
O 7.681 4.170 6.822
O 7.586 4.595 3.837
O 6.604 1.178 -0.131
O 7.742 3.288 1.672
O 7.705 5.808 1.623
O 9.211 1.898 6.211
O 7.610 5.384 -1.361
O 8.888 2.010 3.514
O 10.233 6.470 7.188
O 5.592 5.475 7.389
P 3.105 4.117 5.182
P 3.129 5.862 -0.017
P 5.081 2.047 4.884
P 7.091 5.373 7.573
P 5.105 1.279 -0.315
P 1.041 1.583 2.628
P 7.115 4.605 2.375
P 9.067 0.790 7.276
P 9.091 2.536 2.077
P 11.155 5.069 4.630
P 1.017 1.743 7.827
P 11.179 4.909 -0.568
Co 10.542 1.729 -0.541
Co 10.518 1.597 4.657
Co 8.150 6.637 -0.004
Co 8.126 3.342 5.195
Co 4.070 3.310 2.064
Co 4.046 0.016 7.262
Co 1.678 5.055 2.601
Co 0.000 0.000 0.000
Co 1.654 4.923 7.800
Co -0.024 3.326 5.199
```

Final energy, eV/atom: -6.788
Size of the total moment, μB/cell: 38.0
Theoretical density, g cm⁻³: 3.27
Space-group type: No. 14
Total energy after the MP2020 corrections, eV per atom: -7.49
ΔE_f, meV per atom: -2134